(1)
! Li14Mn2O9, optimized geometry, DFT PBE with a Hubbard U; values from VASP
! * E_form: -2.01 eV/atom
! * ρ: 2.36 g cm⁻³
&SYSTEM
  ibrav = 0, nat = 50, ntyp = 3
/
ATOMIC_SPECIES
Li 6.94 Li.upf
Mn 54.94 Mn.upf
O 16.00 O.upf
ATOMIC_POSITIONS crystal
Li 0.000 0.130 0.130
Li 0.000 0.630 0.630
Li 0.000 0.370 0.370
Li 0.000 0.870 0.870
Li 0.359 0.805 0.099
Li 0.359 0.305 0.599
Li 0.935 0.632 0.273
Li 0.935 0.132 0.773
Li 0.706 0.920 0.985
Li 0.706 0.420 0.485
Li 0.294 0.080 0.015
Li 0.294 0.580 0.515
Li 0.065 0.368 0.727
Li 0.065 0.868 0.227
Li 0.641 0.195 0.901
Li 0.641 0.695 0.401
Li 0.373 0.762 0.824
Li 0.373 0.262 0.324
Li 0.689 0.479 0.106
Li 0.689 0.979 0.606
Li 0.062 0.363 0.052
Li 0.062 0.863 0.552
Li 0.938 0.637 0.948
Li 0.938 0.137 0.448
Li 0.311 0.521 0.894
Li 0.311 0.021 0.394
Li 0.627 0.238 0.176
Li 0.627 0.738 0.676
Mn 0.667 0.959 0.293
Mn 0.333 0.041 0.707
Mn 0.667 0.459 0.793
Mn 0.333 0.541 0.207
O 0.000 0.500 0.500
O 0.000 0.000 0.000
O 0.667 0.336 0.669
O 0.667 0.836 0.169
O 0.333 0.664 0.331
O 0.333 0.164 0.831
O 0.331 0.660 0.681
O 0.331 0.160 0.181
O 0.690 0.336 0.005
O 0.690 0.836 0.505
O 0.021 0.484 0.174
O 0.021 0.984 0.674
O 0.979 0.516 0.826
O 0.979 0.016 0.326
O 0.310 0.664 0.995
O 0.310 0.164 0.495
O 0.669 0.340 0.319
O 0.669 0.840 0.819
CELL_PARAMETERS angstrom
5.917 0.000 0.000
2.958 5.124 8.133
-2.958 -5.124 8.133



(2)
! Li5Mn4O8, optimized geometry, DFT PBE with a Hubbard U; values from VASP
! * E_form: -2.06 eV/atom
! * ρ: 3.84 g cm⁻³
! * space group: P-1
&SYSTEM
  ibrav = 0, nat = 17, ntyp = 3
/
ATOMIC_SPECIES
Li 6.94 Li.upf
Mn 54.94 Mn.upf
O 16.00 O.upf
ATOMIC_POSITIONS crystal
Li 0.000 0.000 0.000
Li 0.000 0.000 0.500
Li 0.078 0.684 0.168
Li 0.500 0.000 0.500
Li 0.922 0.316 0.832
Mn 0.000 0.500 0.500
Mn 0.500 0.000 0.000
Mn 0.500 0.500 0.000
Mn 0.500 0.500 0.500
O 0.249 0.722 0.986
O 0.255 0.262 0.498
O 0.259 0.254 0.995
O 0.275 0.750 0.524
O 0.725 0.250 0.476
O 0.741 0.746 0.005
O 0.745 0.738 0.502
O 0.751 0.278 0.014
CELL_PARAMETERS angstrom
5.783 0.000 0.000
-0.148 5.827 0.000
-2.847 -2.835 4.903



(3)
! Li9Mn20O40, optimized geometry, DFT PBE with a Hubbard U; values from VASP
! * E_form: -1.97 eV/atom
! * ρ: 4.38 g cm⁻³
! * space group: I-4
&SYSTEM
  ibrav = 0, nat = 69, ntyp = 3
/
ATOMIC_SPECIES
Li 6.94 Li.upf
Mn 54.94 Mn.upf
O 16.00 O.upf
ATOMIC_POSITIONS crystal
Li 0.000 0.000 0.000
Li 0.151 0.451 0.102
Li 0.195 0.599 0.800
Li 0.349 0.049 0.898
Li 0.401 0.201 0.597
Li 0.549 0.651 0.700
Li 0.605 0.805 0.403
Li 0.799 0.395 0.200
Li 0.951 0.849 0.300
Mn 0.072 0.722 0.548
Mn 0.073 0.225 0.547
Mn 0.075 0.722 0.049
Mn 0.174 0.524 0.452
Mn 0.273 0.324 0.848
Mn 0.278 0.327 0.352
Mn 0.278 0.826 0.350
Mn 0.378 0.125 0.253
Mn 0.474 0.927 0.152
Mn 0.476 0.425 0.152
Mn 0.476 0.928 0.650
Mn 0.575 0.727 0.051
Mn 0.673 0.025 0.951
Mn 0.676 0.524 0.949
Mn 0.678 0.526 0.453
Mn 0.775 0.322 0.848
Mn 0.873 0.126 0.747
Mn 0.874 0.622 0.747
Mn 0.875 0.127 0.253
Mn 0.975 0.925 0.648
O 0.006 0.570 0.854
O 0.026 0.083 0.832
O 0.037 0.100 0.358
O 0.050 0.594 0.367
O 0.100 0.857 0.733
O 0.116 0.351 0.742
O 0.124 0.368 0.267
O 0.143 0.876 0.243
O 0.206 0.172 0.653
O 0.227 0.683 0.633
O 0.235 0.699 0.157
O 0.251 0.195 0.168
O 0.301 0.458 0.535
O 0.317 0.950 0.544
O 0.321 0.963 0.063
O 0.340 0.477 0.042
O 0.406 0.773 0.456
O 0.430 0.284 0.436
O 0.435 0.298 0.958
O 0.448 0.794 0.966
O 0.498 0.052 0.330
O 0.519 0.552 0.347
O 0.523 0.565 0.863
O 0.542 0.077 0.843
O 0.609 0.373 0.258
O 0.627 0.884 0.235
O 0.632 0.900 0.757
O 0.649 0.391 0.765
O 0.702 0.660 0.137
O 0.716 0.152 0.146
O 0.722 0.168 0.670
O 0.742 0.679 0.642
O 0.805 0.974 0.056
O 0.828 0.481 0.034
O 0.832 0.502 0.554
O 0.848 0.994 0.564
O 0.900 0.258 0.937
O 0.917 0.749 0.944
O 0.923 0.765 0.465
O 0.948 0.278 0.446
CELL_PARAMETERS angstrom
-6.462 6.462 4.091
6.462 -6.462 4.091
6.462 6.462 -4.091



(4)
! Li4Mn3O7, optimized geometry, DFT PBE with a Hubbard U; values from VASP
! * E_form: -2.14 eV/atom
! * ρ: 3.91 g cm⁻³
! * space group: P-1
&SYSTEM
  ibrav = 0, nat = 28, ntyp = 3
/
ATOMIC_SPECIES
Li 6.94 Li.upf
Mn 54.94 Mn.upf
O 16.00 O.upf
ATOMIC_POSITIONS crystal
Li 0.000 0.000 0.000
Li 0.000 0.000 0.500
Li 0.139 0.571 0.143
Li 0.290 0.148 0.288
Li 0.418 0.717 0.432
Li 0.582 0.283 0.568
Li 0.710 0.852 0.712
Li 0.861 0.429 0.857
Mn 0.142 0.570 0.641
Mn 0.283 0.141 0.782
Mn 0.428 0.714 0.928
Mn 0.572 0.286 0.072
Mn 0.717 0.859 0.218
Mn 0.858 0.430 0.359
O 0.034 0.754 0.321
O 0.084 0.767 0.816
O 0.196 0.380 0.467
O 0.230 0.337 0.962
O 0.335 0.904 0.618
O 0.371 0.909 0.105
O 0.481 0.517 0.750
O 0.519 0.483 0.250
O 0.629 0.091 0.895
O 0.665 0.096 0.382
O 0.770 0.663 0.038
O 0.804 0.620 0.533
O 0.916 0.233 0.184
O 0.966 0.246 0.679
CELL_PARAMETERS angstrom
5.091 0.000 0.000
-0.645 5.270 0.000
-1.910 -2.289 9.643